# 1
A geometry-optimized LuB4Os structure, computed with r²SCAN.

Calculated values
Total energy: -497.7 eV for the cell shown

Cell and atoms, written as POSCAR:
```
LuB4Os
1.0
5.898 0.000 0.000
0.000 11.404 0.000
0.000 0.000 3.528
Lu B Os
4 16 4
Direct
0.129 0.150 0.000
0.371 0.650 0.000
0.629 0.350 0.000
0.871 0.850 0.000
0.024 0.693 0.500
0.113 0.548 0.500
0.135 0.971 0.500
0.208 0.814 0.500
0.292 0.314 0.500
0.365 0.471 0.500
0.387 0.048 0.500
0.476 0.193 0.500
0.524 0.807 0.500
0.613 0.952 0.500
0.635 0.529 0.500
0.708 0.686 0.500
0.792 0.186 0.500
0.865 0.029 0.500
0.887 0.452 0.500
0.976 0.307 0.500
0.143 0.406 0.000
0.357 0.906 0.000
0.643 0.094 0.000
0.857 0.594 0.000
```

# 2
A geometry-optimized Cs2ZnH12S2O14 structure, computed with r²SCAN.

Calculated values
Total energy: -487.4 eV for the cell shown

Cell and atoms, written as POSCAR:
```
Cs2ZnH12S2O14
1.0
6.336 0.000 0.000
0.000 12.746 0.000
-2.710 0.000 8.829
Cs Zn H S O
4 2 24 4 28
Direct
0.143 0.145 0.370
0.143 0.355 0.870
0.857 0.645 0.130
0.857 0.855 0.630
0.500 0.000 0.000
0.500 0.500 0.500
0.163 0.559 0.596
0.163 0.941 0.096
0.181 0.100 0.791
0.181 0.400 0.291
0.189 0.640 0.475
0.189 0.860 0.975
0.414 0.131 0.764
0.414 0.369 0.264
0.426 0.596 0.221
0.426 0.904 0.721
0.485 0.683 0.347
0.485 0.817 0.847
0.515 0.183 0.153
0.515 0.317 0.653
0.574 0.096 0.279
0.574 0.404 0.779
0.586 0.631 0.736
0.586 0.869 0.236
0.811 0.140 0.025
0.811 0.360 0.525
0.819 0.600 0.709
0.819 0.900 0.209
0.837 0.059 0.904
0.837 0.441 0.404
0.242 0.646 0.895
0.242 0.854 0.395
0.758 0.146 0.605
0.758 0.354 0.105
0.102 0.584 0.766
0.102 0.916 0.266
0.115 0.737 0.920
0.115 0.763 0.420
0.202 0.564 0.501
0.202 0.936 0.001
0.303 0.578 0.030
0.303 0.922 0.530
0.339 0.114 0.840
0.339 0.386 0.340
0.443 0.682 0.858
0.443 0.818 0.358
0.489 0.109 0.173
0.489 0.391 0.673
0.511 0.609 0.327
0.511 0.891 0.827
0.557 0.182 0.642
0.557 0.318 0.142
0.661 0.614 0.660
0.661 0.886 0.160
0.697 0.078 0.470
0.697 0.422 0.970
0.798 0.064 0.999
0.798 0.436 0.499
0.885 0.237 0.580
0.885 0.263 0.080
0.898 0.084 0.734
0.898 0.416 0.234
```